Record 1
Below is an optimized crystal structure of Na3Al2Sn2P5SO24, with properties calculated at the PBE-GGA level.

Values from the calculation:
Volume = 1414.3 Å³/cell
Symmetry = P1, No. 1

POSCAR file:
```
Na3Al2Sn2P5SO24
1.0
8.568 0.000 0.000
4.257 7.440 0.000
0.043 0.089 22.185
Na Al Sn P S O
9 6 6 15 3 72
Cartesian
0.000 0.000 0.000
0.027 0.045 11.083
2.723 4.679 5.521
4.242 2.514 18.411
5.814 5.095 1.782
4.365 2.387 7.336
8.513 4.975 14.742
8.559 4.890 3.630
11.304 5.139 12.877
4.254 7.399 3.232
4.344 7.356 14.307
8.600 4.946 17.963
8.541 4.828 6.850
8.553 4.805 0.371
8.579 4.861 11.465
12.800 7.404 7.794
4.391 7.397 18.889
4.288 2.522 21.686
4.274 2.452 15.108
4.321 2.466 10.602
4.292 2.367 4.004
1.196 2.084 5.460
2.943 4.668 1.805
1.702 2.404 12.855
5.589 5.252 5.455
6.806 7.351 16.546
3.011 0.155 1.757
5.627 4.683 12.887
6.229 4.933 20.279
5.598 0.216 12.873
6.865 2.358 1.757
7.391 2.839 9.182
10.332 7.343 5.471
9.776 2.891 20.250
10.958 4.899 9.176
11.571 5.285 16.555
7.374 6.980 9.178
9.784 7.041 20.267
7.391 2.143 16.561
0.851 1.180 13.133
3.639 6.019 2.017
3.650 5.864 17.837
1.111 1.263 6.763
3.098 3.786 3.084
2.587 2.842 14.069
3.286 3.613 9.231
2.767 2.694 20.312
2.575 2.077 11.616
2.744 2.317 5.355
3.759 4.073 0.610
3.677 3.878 16.461
4.926 6.035 13.103
5.753 7.443 1.980
4.843 5.791 6.711
1.777 0.286 17.840
5.274 6.181 20.259
5.890 7.182 15.343
5.884 7.128 9.131
5.301 6.072 4.191
4.808 4.123 11.676
3.154 1.061 0.514
4.909 3.841 5.346
3.476 1.164 16.445
3.722 0.911 9.234
5.325 3.651 20.319
3.720 0.720 3.007
5.480 3.770 14.132
7.637 6.229 10.401
7.018 5.114 21.575
7.093 5.123 5.661
7.657 6.087 16.745
7.902 6.377 7.953
5.832 2.649 9.231
7.069 4.803 19.021
7.884 6.200 1.550
7.112 4.824 12.636
4.908 0.961 20.328
5.982 2.787 2.980
4.893 0.798 14.118
5.172 1.149 5.357
5.909 2.300 16.464
5.444 1.113 11.622
5.986 2.046 0.520
7.637 3.640 7.908
9.255 6.440 19.042
7.697 3.637 1.568
9.246 6.255 12.661
7.921 3.490 10.443
9.539 6.276 21.486
9.479 6.065 5.652
8.013 3.473 16.700
6.849 0.216 6.765
7.534 1.346 17.810
7.715 1.130 2.011
7.114 0.056 13.100
10.051 5.143 16.737
7.964 1.490 15.385
9.155 3.498 5.617
11.273 7.204 20.200
11.249 7.081 4.272
9.249 3.526 21.523
8.055 1.421 9.149
10.146 5.077 10.458
10.024 4.778 1.544
9.437 3.680 12.652
9.519 3.698 18.983
10.142 4.762 7.884
9.109 1.468 20.204
11.846 6.123 15.296
9.163 1.405 4.247
11.901 6.149 9.147
```

***

Record 2
Below is an optimized crystal structure of NaAlSnP2SO12, with properties calculated at the PBE-GGA level.

Values from the calculation:
Volume = 1421.7 Å³/cell

POSCAR file:
```
NaAlSnP2SO12
1.0
-3.861 -7.471 -1.628
4.209 1.126 7.386
-18.790 7.677 9.332
P O Al S Na Sn
12 72 6 6 6 6
Cartesian
-14.475 5.544 15.075
-1.600 0.875 9.199
-13.243 -2.297 6.300
-10.902 0.119 8.959
-16.817 3.127 12.415
-13.922 3.953 8.691
-2.566 -5.770 3.846
-6.140 -0.345 9.962
-12.609 1.591 13.184
-3.467 2.165 4.472
-1.601 -1.788 2.581
-5.174 3.637 8.697
-0.229 1.309 8.670
-14.629 6.231 11.462
-5.568 -2.857 7.290
-3.916 -1.175 6.679
-13.883 -1.264 7.261
-14.172 -2.563 5.100
0.734 0.250 5.307
-8.585 2.794 11.196
-9.726 6.040 12.524
-7.443 0.477 9.773
-12.848 4.296 7.647
-15.226 4.776 8.502
-16.924 6.866 12.135
-14.483 2.502 8.523
-17.456 4.160 13.376
-6.448 0.782 2.773
-15.936 0.775 7.045
-5.066 -0.003 8.918
-8.716 -4.647 2.619
-7.599 2.042 4.995
-2.024 -5.589 5.281
-1.038 -2.916 1.712
-4.292 3.948 9.944
-2.957 -2.142 3.240
-12.290 0.778 8.735
-12.746 2.857 12.318
-16.368 7.093 9.925
-15.564 -0.181 11.703
-4.611 2.509 7.827
-19.133 1.077 9.895
-6.492 -4.053 3.266
-13.351 1.441 6.019
-8.130 1.865 7.215
-1.492 -5.428 2.803
-2.579 -4.810 0.293
-6.701 -1.797 9.794
-18.751 3.421 8.867
-3.534 1.169 5.650
-11.055 0.806 5.347
-9.172 -2.567 6.203
0.183 -2.257 6.266
-10.354 -0.558 7.693
-16.751 1.858 13.318
-6.531 3.283 9.355
-4.556 -3.560 1.100
-6.152 0.615 6.409
-13.639 6.797 15.496
-1.738 -0.521 1.715
-15.446 3.562 11.886
-15.863 6.202 14.850
-5.012 -2.631 5.081
-12.046 0.462 12.315
-8.367 -0.108 5.807
-3.870 -4.948 3.658
-11.699 3.124 5.408
-18.174 0.110 6.457
-10.969 -0.878 10.137
-11.873 -1.863 5.771
-0.719 -1.477 3.829
-11.941 5.316 11.923
-13.380 4.135 10.126
-13.928 4.867 13.809
-10.065 1.372 9.381
-9.316 3.905 8.831
-5.743 -1.520 2.715
-4.794 -5.533 -0.308
-2.529 0.609 7.999
-15.034 -0.005 9.483
-9.807 -1.290 4.010
-17.746 2.862 11.215
-2.920 1.488 3.206
-3.273 -3.493 6.617
-19.496 3.017 10.599
-10.229 -1.068 5.879
-15.923 -2.407 4.483
-4.279 0.765 7.382
-2.794 0.979 1.391
-13.802 4.357 11.994
-15.736 7.172 11.283
-3.946 -4.371 0.005
-12.163 1.747 5.168
-7.519 1.054 6.120
-11.093 6.479 12.236
-4.380 -2.551 6.439
-16.859 1.897 9.134
4.113 1.101 7.338
-9.076 -2.402 10.404
-1.642 -0.356 5.917
-11.104 3.353 10.555
-7.530 -2.072 4.439
-14.037 0.663 7.781
-10.464 -4.761 1.666
1.179 -1.589 4.565
-8.228 2.227 9.226
-4.654 -3.198 3.110
-16.010 6.525 7.955
```

***

Record 3
Below is an optimized crystal structure of NaTi2Al2P3S3O24, with properties calculated at the PBE-GGA level.

Values from the calculation:
Volume = 1364.1 Å³/cell
Symmetry = P1, No. 1

POSCAR file:
```
NaTi2Al2P3S3O24
1.0
8.457 0.000 0.000
4.219 7.334 0.000
0.003 0.045 21.993
Na Ti Al P S O
3 6 6 9 9 72
Cartesian
0.000 0.000 0.000
4.201 7.288 10.963
8.415 4.848 3.589
4.263 2.506 10.485
4.256 2.432 4.139
4.226 2.322 21.487
4.314 2.408 15.041
8.534 4.907 17.899
8.501 4.799 6.781
4.203 7.291 14.165
0.088 0.033 3.186
4.256 7.247 7.687
8.489 4.941 11.464
8.458 4.839 0.420
8.454 0.041 18.783
1.212 2.001 5.478
5.415 5.256 5.455
3.002 0.237 1.823
5.505 4.607 12.794
5.485 0.277 12.774
6.720 2.408 1.803
9.723 6.970 20.169
10.881 4.932 9.163
9.656 2.764 20.179
3.047 5.251 16.471
1.753 2.439 12.803
2.998 4.566 1.797
6.609 7.330 16.464
6.012 4.917 20.137
7.217 6.975 9.144
7.286 2.740 9.152
7.282 2.077 16.462
10.305 7.317 5.463
3.605 5.898 1.982
0.923 1.226 13.000
0.957 1.207 6.753
3.649 5.857 17.670
3.188 3.727 3.009
2.590 2.681 14.008
2.720 2.668 20.328
3.299 3.656 9.363
3.620 3.975 0.598
2.586 2.158 11.609
3.621 3.906 16.294
1.482 0.131 1.960
4.829 5.964 13.016
2.715 2.229 5.274
1.565 0.226 17.667
4.799 5.831 6.725
5.747 7.135 8.994
5.168 6.124 19.931
5.204 6.098 4.206
5.782 7.110 15.255
4.787 3.943 11.574
3.220 1.150 0.563
3.247 1.196 16.289
4.828 3.836 5.257
5.170 3.737 20.291
3.610 0.975 9.329
5.215 3.689 14.034
3.652 0.921 3.041
6.839 5.178 21.323
7.418 6.133 10.344
7.471 6.144 16.626
6.958 5.069 5.658
7.829 6.387 7.943
6.841 4.677 18.914
4.819 0.959 14.039
4.854 1.027 20.295
5.816 2.658 3.045
6.987 4.680 12.536
7.887 6.215 1.598
5.811 2.609 9.301
5.802 2.222 16.303
5.208 1.157 5.337
5.234 1.210 11.570
5.805 2.187 0.560
7.447 3.573 7.941
9.046 6.361 18.884
9.046 6.268 12.589
7.573 3.667 1.607
7.844 3.424 16.622
9.412 6.122 5.606
7.878 3.358 10.349
9.458 6.102 21.377
6.872 0.201 6.689
7.470 1.244 17.659
6.997 0.193 13.018
7.549 1.133 1.994
8.991 3.421 21.373
11.097 7.056 4.260
7.880 1.472 15.255
9.993 5.118 10.393
7.870 1.400 8.976
9.047 3.452 5.645
10.030 5.107 16.619
11.223 7.127 19.914
9.987 4.678 1.645
9.376 3.623 12.603
9.412 3.651 18.889
10.010 4.660 7.905
8.993 1.461 4.231
11.696 6.086 15.266
11.786 6.153 8.951
9.051 1.379 19.916
```

***

Record 4
Below is an optimized crystal structure of Na3Ti2Al2P5SO24, with properties calculated at the PBE-GGA level.

Values from the calculation:
Volume = 1382.1 Å³/cell
Symmetry = P1, No. 1

POSCAR file:
```
Na3Ti2Al2P5SO24
1.0
8.516 0.000 0.000
4.252 7.391 0.000
0.064 0.015 21.960
Na Ti Al P S O
9 6 6 15 3 72
Cartesian
0.000 0.000 0.000
10.099 2.709 10.981
3.138 4.970 9.136
3.169 4.940 20.129
2.007 2.478 18.287
3.120 0.028 5.491
7.410 7.365 16.456
7.337 2.496 1.820
7.363 2.484 12.807
7.344 7.388 13.240
3.096 0.050 2.265
3.161 0.050 8.726
7.446 7.365 19.705
7.423 2.536 16.035
7.363 2.340 5.041
3.125 4.909 5.916
3.186 4.915 12.383
3.153 4.894 1.405
3.221 4.937 16.903
7.396 2.505 20.543
7.393 2.427 9.575
1.954 2.850 14.639
4.321 6.982 3.661
1.934 2.229 21.950
4.868 7.355 10.969
4.319 2.858 3.670
5.542 4.931 14.634
4.438 2.175 10.995
6.140 5.186 0.014
4.990 2.506 18.321
8.640 5.238 10.978
9.857 7.383 0.012
8.668 4.612 18.326
6.199 0.288 7.360
8.592 0.304 18.318
9.846 2.512 7.340
6.142 4.578 7.332
9.217 4.925 3.660
10.460 7.026 14.639
10.665 3.682 13.367
3.724 6.312 18.108
2.230 3.735 7.125
2.519 3.568 0.205
4.017 6.122 11.186
2.558 3.456 15.916
4.090 6.155 4.914
1.541 0.279 12.197
2.078 1.253 1.210
1.634 0.210 18.458
2.202 1.228 7.482
2.573 1.559 20.703
4.607 5.130 0.177
3.717 3.528 11.154
5.790 7.142 9.747
3.691 3.454 4.923
4.722 5.187 15.894
5.855 7.196 3.505
2.566 1.424 14.484
4.041 3.710 18.132
4.679 4.733 7.169
4.100 3.684 2.409
4.712 4.701 13.385
3.705 1.531 9.765
6.395 6.152 20.745
3.730 1.416 3.496
6.492 6.165 14.475
4.060 1.255 18.454
6.759 5.927 7.462
6.783 5.884 1.238
4.164 1.268 12.216
6.368 3.760 8.528
5.851 2.722 19.552
5.863 2.670 3.834
6.480 3.694 14.794
6.768 4.001 6.114
5.836 2.230 17.057
8.012 5.997 18.455
4.653 0.177 7.483
7.983 5.899 12.217
4.701 0.238 1.240
5.932 2.299 10.770
6.854 3.845 21.772
8.340 6.121 3.527
8.986 7.193 14.511
8.394 6.140 9.742
9.019 7.157 20.733
8.003 3.986 17.066
6.376 1.200 6.091
8.008 3.845 10.786
6.553 1.252 21.781
8.332 3.738 3.804
6.800 0.994 14.772
6.813 0.981 8.562
8.458 3.700 19.536
10.019 5.162 4.869
10.663 6.215 15.854
10.161 5.089 11.172
10.739 6.136 0.192
10.018 4.696 2.449
11.053 6.446 13.430
8.932 2.645 14.793
7.992 1.041 3.809
8.989 2.715 8.598
10.184 4.744 18.099
8.020 0.958 19.584
11.063 6.302 7.112
8.921 2.277 21.781
8.323 1.267 10.804
8.946 2.249 6.094
8.430 1.236 17.082
12.207 6.428 2.376
```

***

Values for ΔH_f (0 K), kJ/mol of atoms, ordered as above
-253.1, -243.1, -258.1, -276.6
Values for electronic total energy, eV per atom, ordered as above
-6.76, -6.70, -7.12, -7.21